Density functional theory data (PBE with a Hubbard U) for crystalline CaNi2O4 at its relaxed geometry.

Lattice parameters (Å, degrees): 13.1856 3.0740 9.3876 90.00 125.31 90.00
Closest atoms and distances in Å follow each position.
Space group C2/m (No. 12)
Symmetry-distinct sites (fractional):
Ca: 0.1533 0.0000 0.1729 (multiplicity 4)  6 O 2.24-2.44
Ni: 0.1364 0.5000 0.4681 (multiplicity 4)  6 O 2.01-2.17
Ni: 0.1392 0.0000 0.8328 (multiplicity 4)  5 O 1.92-2.07
O: 0.0390 0.0000 0.3044 (multiplicity 4)  3 Ni 1.92-2.02
O: 0.1340 0.5000 0.6967 (multiplicity 4)  3 Ni 1.97-2.17
O: 0.1600 0.5000 0.9953 (multiplicity 4)  3 Ni 2.07-2.16, 2 Ca 2.31
O: 0.2472 0.5000 0.3857 (multiplicity 4)  3 Ni 2.01-2.04, 2 Ca 2.24

Values from the calculation:
- Crystal system: monoclinic
- Excess energy over the best structure of this formula in the dataset: 0.186 eV per atom
- Electronic total energy: -5.123 eV/atom